First-principles (PBE-GGA) data for Zn11Ni2 after structural relaxation, as listed in the Materials Project database.

Geometry as POSCAR:
```
Zn11Ni2
1.0
-4.4821 4.4821 4.4821
4.4821 -4.4821 4.4821
4.4821 4.4821 -4.4821
Zn Ni
22 4
Direct
0.0000 0.0000 0.2102
0.0000 0.2102 0.0000
0.0000 0.3513 0.7367
0.0000 0.3559 0.3559
0.0000 0.6441 0.6441
0.0000 0.7367 0.3513
0.2102 0.0000 0.0000
0.2633 0.2633 0.6146
0.2633 0.6146 0.2633
0.3513 0.0000 0.7367
0.3513 0.7367 0.0000
0.3559 0.0000 0.3559
0.3559 0.3559 0.0000
0.3854 0.6487 0.6487
0.6146 0.2633 0.2633
0.6441 0.0000 0.6441
0.6441 0.6441 0.0000
0.6487 0.3854 0.6487
0.6487 0.6487 0.3854
0.7367 0.0000 0.3513
0.7367 0.3513 0.0000
0.7898 0.7898 0.7898
0.0000 0.0000 0.6584
0.0000 0.6584 0.0000
0.3416 0.3416 0.3416
0.6584 0.0000 0.0000
```

Output
Symmetry = No. 217
Formation enthalpy at 0 K = -0.1623 eV per atom

---

First-principles (PBE-GGA) data for ZnNi after structural relaxation, as listed in the Materials Project database.

Geometry as POSCAR:
```
ZnNi
1.0
2.7440 0.0000 0.0000
0.0000 2.7440 0.0000
0.0000 0.0000 3.1989
Zn Ni
1 1
Direct
0.0000 0.0000 0.0000
0.5000 0.5000 0.5000
```

Output
Symmetry = No. 123
Formation enthalpy at 0 K = -0.2550 eV per atom

---

First-principles (PBE-GGA) data for ZnNi after structural relaxation, as listed in the Materials Project database.

Geometry as POSCAR:
```
ZnNi
1.0
2.8891 0.0000 0.0000
0.0000 2.8891 0.0000
0.0000 0.0000 2.8891
Zn Ni
1 1
Direct
0.0000 0.0000 0.0000
0.5000 0.5000 0.5000
```

Output
Symmetry = No. 221
Formation enthalpy at 0 K = -0.2458 eV per atom

---

What did the third record say?
First-principles (PBE-GGA) data for ZnNi after structural relaxation, as listed in the Materials Project database.

Geometry as POSCAR:
```
ZnNi
1.0
2.8891 0.0000 0.0000
0.0000 2.8891 0.0000
0.0000 0.0000 2.8891
Zn Ni
1 1
Direct
0.0000 0.0000 0.0000
0.5000 0.5000 0.5000
```

Output
Symmetry = No. 221
Formation enthalpy at 0 K = -0.2458 eV per atom